Computed, not measured: a relaxed structure of Ba10P6SO24 at the PBE level of DFT.

Output
- Space-group type: P-3 (147)
- Formation enthalpy at 0 K: -3.261 eV per atom

Lattice parameters (Å, degrees): 10.3936 10.3936 7.7584 90.00 90.00 120.00
With the nearest neighbours (Å) after each atom.
Atoms (fractional coordinates):
P  0.3689  0.9702  0.7519  4 O 1.56-1.57
P  0.6013  0.6311  0.7519  4 O 1.56-1.57
P  0.3987  0.3689  0.2481  4 O 1.56-1.57
P  0.9702  0.6013  0.2481  4 O 1.56-1.57
P  0.6311  0.0298  0.2481  4 O 1.56-1.57
P  0.0298  0.3987  0.7519  4 O 1.56-1.57
O  0.6834  0.7458  0.8991  1 P 1.56
O  0.0625  0.3166  0.8991  1 P 1.56
O  0.9052  0.6238  0.4194  1 P 1.56
O  0.4770  0.1412  0.7373  1 P 1.56
O  0.4587  0.8888  0.7869  1 P 1.57
O  0.6238  0.7186  0.5806  1 P 1.56
O  0.7458  0.0625  0.1009  1 P 1.56
O  0.8888  0.4301  0.2131  1 P 1.57
O  0.5699  0.4587  0.2131  1 P 1.57
O  0.2814  0.9052  0.5806  1 P 1.56
O  0.7186  0.0948  0.4194  1 P 1.56
O  0.1412  0.6641  0.2627  1 P 1.56
O  0.8588  0.3359  0.7373  1 P 1.56
O  0.2542  0.9375  0.8991  1 P 1.56
O  0.5230  0.8588  0.2627  1 P 1.56
O  0.4301  0.5413  0.7869  1 P 1.57
O  0.1112  0.5699  0.7869  1 P 1.57
O  0.3359  0.4770  0.2627  1 P 1.56
O  0.0948  0.3762  0.5806  1 P 1.56
O  0.3166  0.2542  0.1009  1 P 1.56
O  0.3762  0.2814  0.4194  1 P 1.56
O  0.5413  0.1112  0.2131  1 P 1.57
O  0.9375  0.6834  0.1009  1 P 1.56
O  0.6641  0.5230  0.7373  1 P 1.56
Ba  0.3333  0.6667  0.0191  6 O 2.69-2.74
Ba  0.9858  0.7414  0.7389  6 O 2.70-2.96
Ba  0.6667  0.3333  0.4802  9 O 2.81-2.88
Ba  0.2444  0.9858  0.2611  6 O 2.70-2.96
Ba  0.7556  0.0142  0.7389  6 O 2.70-2.96
Ba  0.3333  0.6667  0.5198  9 O 2.81-2.88
Ba  0.2586  0.2444  0.7389  6 O 2.70-2.96
Ba  0.6667  0.3333  0.9809  6 O 2.69-2.74
Ba  0.0142  0.2586  0.2611  6 O 2.70-2.96
Ba  0.7414  0.7556  0.2611  6 O 2.70-2.96
S  0.0000  0.0000  0.5000  6 Ba 3.21, 6 O 3.58

***

Computed, not measured: a relaxed structure of BaMg7 at the PBE level of DFT.

Output
- Space-group type: P-6m2 (187)
- Formation enthalpy at 0 K: 0.094 eV per atom

Lattice parameters (Å, degrees): 6.9429 6.9429 5.3046 90.00 90.00 120.00
With the nearest neighbours (Å) after each atom.
Atoms (fractional coordinates):
Mg  0.4942  0.9883  0.5000  10 Mg 3.26-3.59, 2 Ba 3.47
Mg  0.6667  0.3333  0.0000  12 Mg 3.37-3.48
Mg  0.1802  0.8198  0.0000  8 Mg 3.19-3.48, 2 Ba 3.42
Mg  0.1802  0.3604  0.0000  8 Mg 3.19-3.48, 2 Ba 3.42
Mg  0.0117  0.5058  0.5000  10 Mg 3.26-3.59, 2 Ba 3.47
Mg  0.4942  0.5058  0.5000  10 Mg 3.26-3.59, 2 Ba 3.47
Mg  0.6397  0.8198  0.0000  8 Mg 3.19-3.48, 2 Ba 3.42
Ba  0.0000  0.0000  0.5000  12 Mg 3.42-3.47

***

Computed, not measured: a relaxed structure of RbAlH4 at the PBE level of DFT.

Output
- Space-group type: Cmc2_1 (36)
- Formation enthalpy at 0 K: -0.262 eV per atom

Lattice parameters (Å, degrees): 7.7380 7.7380 6.5104 90.00 90.00 151.47
With the nearest neighbours (Å) after each atom.
Atoms (fractional coordinates):
Rb  0.3796  0.6204  0.6664  6 H 2.71-2.92
Rb  0.6204  0.3796  0.1664  6 H 2.71-2.92
H  0.1916  0.8084  0.4650  1 Al 1.63
H  0.8477  0.1523  0.3793  1 Al 1.62
H  0.9852  0.0148  0.0463  1 Al 1.64
H  0.3906  0.6094  0.1530  2 Al 1.91
H  0.1523  0.8477  0.8793  1 Al 1.62
H  0.0148  0.9852  0.5463  1 Al 1.64
H  0.8084  0.1916  0.9650  1 Al 1.63
H  0.6094  0.3906  0.6530  2 Al 1.91
Al  0.1158  0.8842  0.6444  3 H 1.62-1.64
Al  0.8842  0.1158  0.1444  3 H 1.62-1.64

***

Computed, not measured: a relaxed structure of Ba2HBr2 at the PBE level of DFT.

Output
- Space-group type: P4/mmm (123)
- Formation enthalpy at 0 K: -0.766 eV per atom

Lattice parameters (Å, degrees): 6.2889 6.2889 15.0970 90.00 90.00 90.00
With the nearest neighbours (Å) after each atom.
Atoms (fractional coordinates):
Br  0.5000  0.5000  0.6439  1 Ba 2.87
Br  0.5000  0.5000  0.3561  1 Ba 2.87
Ba  0.5000  0.5000  0.8341  1 H 2.50
Ba  0.5000  0.5000  0.1659  1 H 2.50
H  0.5000  0.5000  0.0000  2 Ba 2.50

***

Computed, not measured: a relaxed structure of Mg14CoB at the PBE level of DFT.

Output
- Space-group type: P-6m2 (187)
- Polymorph energy (0 for the lowest one): 44.9 meV/atom
- Formation enthalpy at 0 K: 0.232 eV per atom

Lattice parameters (Å, degrees): 6.2163 6.2163 9.6402 90.00 90.00 120.00
With the nearest neighbours (Å) after each atom.
Atoms (fractional coordinates):
Mg  0.3226  0.6453  0.3735  8 Mg 2.91-3.11, 1 Co 2.93, 1 B 2.95
Mg  0.6660  0.3319  0.1250  10 Mg 2.99-3.12, 2 Co 3.11
Mg  0.8333  0.6667  0.3728  12 Mg 2.99-3.11
Mg  0.1671  0.8336  0.6250  10 Mg 3.02-3.11, 2 B 3.11
Mg  0.6660  0.8340  0.1250  10 Mg 2.99-3.12, 2 Co 3.11
Mg  0.6664  0.8336  0.6250  10 Mg 3.02-3.11, 2 B 3.11
Mg  0.8547  0.1774  0.8765  8 Mg 2.91-3.11, 1 Co 2.93, 1 B 2.95
Mg  0.3226  0.1774  0.3735  8 Mg 2.91-3.11, 1 Co 2.93, 1 B 2.95
Mg  0.8547  0.1774  0.3735  8 Mg 2.91-3.11, 1 Co 2.93, 1 B 2.95
Mg  0.1681  0.8340  0.1250  10 Mg 2.99-3.12, 2 Co 3.11
Mg  0.8333  0.6667  0.8772  12 Mg 2.99-3.11
Mg  0.3226  0.6453  0.8765  8 Mg 2.91-3.11, 1 Co 2.93, 1 B 2.95
Mg  0.6664  0.3329  0.6250  10 Mg 3.02-3.11, 2 B 3.11
Mg  0.3226  0.1774  0.8765  8 Mg 2.91-3.11, 1 Co 2.93, 1 B 2.95
B  0.1667  0.3333  0.6250  12 Mg 2.95-3.11
Co  0.1667  0.3333  0.1250  12 Mg 2.93-3.11

***

Computed, not measured: a relaxed structure of LuNiGe3 at the PBE level of DFT.

Output
- Space-group type: Cmmm (65)
- Formation enthalpy at 0 K: -0.513 eV per atom

Lattice parameters (Å, degrees): 10.9582 10.9582 4.0461 90.00 90.00 158.53
With the nearest neighbours (Å) after each atom.
Atoms (fractional coordinates):
Ge  0.5574  0.4426  0.5000  2 Ni 2.34, 1 Ge 2.47
Ge  0.9423  0.0577  0.0000  2 Ni 2.35, 1 Ge 2.49
Ge  0.7171  0.2829  0.0000  1 Ni 2.27, 2 Ge 2.48
Ge  0.0577  0.9423  0.0000  2 Ni 2.35, 1 Ge 2.49
Ge  0.2829  0.7171  0.0000  1 Ni 2.27, 2 Ge 2.48
Ge  0.4426  0.5574  0.5000  2 Ni 2.34, 1 Ge 2.47
Lu  0.8310  0.1690  0.5000  10 Ge 3.06-3.18, 4 Ni 3.13
Lu  0.1690  0.8310  0.5000  10 Ge 3.06-3.18, 4 Ni 3.13
Ni  0.6116  0.3884  0.0000  5 Ge 2.27-2.35
Ni  0.3884  0.6116  0.0000  5 Ge 2.27-2.35

***

Computed, not measured: a relaxed structure of Mn3In at the PBE level of DFT.

Output
- Space-group type: R3m (160)
- Formation enthalpy at 0 K: 0.221 eV per atom

Lattice parameters (Å, degrees): 9.2399 9.2399 9.2399 90.10 90.10 90.10
With the nearest neighbours (Å) after each atom.
Atoms (fractional coordinates):
Mn  0.9062  0.1002  0.9062  11 Mn 2.45-2.55
Mn  0.7199  0.0672  0.7199  5 Mn 2.45-2.70, 2 In 2.74
Mn  0.9062  0.9062  0.1002  11 Mn 2.45-2.55
Mn  0.8504  0.4954  0.4954  8 Mn 2.69-2.84, 4 In 2.97-2.98
Mn  0.9999  0.9999  0.6690  8 Mn 2.53-2.74, 2 In 2.71
Mn  0.4048  0.4048  0.5882  8 Mn 2.40-2.64
Mn  0.4048  0.5882  0.4048  8 Mn 2.40-2.64
Mn  0.7199  0.7199  0.0672  5 Mn 2.45-2.70, 2 In 2.74
Mn  0.3300  0.3300  0.3300  9 Mn 2.57-2.78, 3 In 2.71
Mn  0.6558  0.6558  0.3444  9 Mn 2.45-2.72, 2 In 2.72
Mn  0.9311  0.7058  0.2861  7 Mn 2.54-2.84, 2 In 2.77-2.83
Mn  0.4954  0.8504  0.4954  8 Mn 2.69-2.84, 4 In 2.97-2.98
Mn  0.3473  0.9931  0.9931  5 Mn 2.55-2.77, 3 In 2.69
Mn  0.4995  0.4995  0.1506  6 Mn 2.59-2.77, 2 In 2.81
Mn  0.0289  0.3207  0.3207  4 Mn 2.59-2.82, 5 In 2.68-2.80
Mn  0.9931  0.9931  0.3473  5 Mn 2.55-2.77, 3 In 2.69
Mn  0.2861  0.7058  0.9311  7 Mn 2.54-2.84, 2 In 2.77-2.83
Mn  0.3444  0.6558  0.6558  9 Mn 2.45-2.72, 2 In 2.72
Mn  0.3207  0.0289  0.3207  4 Mn 2.59-2.82, 5 In 2.68-2.80
Mn  0.1602  0.1602  0.8369  8 Mn 2.50-2.74, 4 In 2.72-2.78
Mn  0.1602  0.8369  0.1602  8 Mn 2.50-2.74, 4 In 2.72-2.78
Mn  0.5959  0.5959  0.5959  9 Mn 2.45-2.70
Mn  0.7058  0.2861  0.9311  7 Mn 2.54-2.84, 2 In 2.77-2.83
Mn  0.1002  0.9062  0.9062  11 Mn 2.45-2.55
Mn  0.2861  0.9311  0.7058  7 Mn 2.54-2.84, 2 In 2.77-2.83
Mn  0.9931  0.3473  0.9931  5 Mn 2.55-2.77, 3 In 2.69
Mn  0.9311  0.2861  0.7058  7 Mn 2.54-2.84, 2 In 2.77-2.83
Mn  0.5882  0.4048  0.4048  8 Mn 2.40-2.64
Mn  0.3207  0.3207  0.0289  4 Mn 2.59-2.82, 5 In 2.68-2.80
Mn  0.6690  0.9999  0.9999  8 Mn 2.53-2.74, 2 In 2.71
Mn  0.8369  0.1602  0.1602  8 Mn 2.50-2.74, 4 In 2.72-2.78
Mn  0.4954  0.4954  0.8504  8 Mn 2.69-2.84, 4 In 2.97-2.98
Mn  0.1506  0.4995  0.4995  6 Mn 2.59-2.77, 2 In 2.81
Mn  0.9999  0.6690  0.9999  8 Mn 2.53-2.74, 2 In 2.71
Mn  0.7058  0.9311  0.2861  7 Mn 2.54-2.84, 2 In 2.77-2.83
Mn  0.4995  0.1506  0.4995  6 Mn 2.59-2.77, 2 In 2.81
Mn  0.6558  0.3444  0.6558  9 Mn 2.45-2.72, 2 In 2.72
Mn  0.0672  0.7199  0.7199  5 Mn 2.45-2.70, 2 In 2.74
Mn  0.8470  0.8470  0.8470  9 Mn 2.46-2.63
In  0.1798  0.4581  0.7994  10 Mn 2.69-2.97
In  0.5420  0.1869  0.1869  10 Mn 2.71-2.96
In  0.7994  0.4581  0.1798  10 Mn 2.69-2.97
In  0.1869  0.1869  0.5420  10 Mn 2.71-2.96
In  0.4581  0.7994  0.1798  10 Mn 2.69-2.97
In  0.8107  0.8107  0.5471  11 Mn 2.71-3.02
In  0.5471  0.8107  0.8107  11 Mn 2.71-3.02
In  0.8107  0.5471  0.8107  11 Mn 2.71-3.02
In  0.1281  0.1281  0.1281  12 Mn 2.68-2.91
In  0.1798  0.7994  0.4581  10 Mn 2.69-2.97
In  0.4581  0.1798  0.7994  10 Mn 2.69-2.97
In  0.7994  0.1798  0.4581  10 Mn 2.69-2.97
In  0.1869  0.5420  0.1869  10 Mn 2.71-2.96

***

Computed, not measured: a relaxed structure of Ba3Cd2As4 at the PBE level of DFT.

Output
- Space-group type: C2/m (12)
- Formation enthalpy at 0 K: -0.845 eV per atom

Lattice parameters (Å, degrees): 4.6686 7.4164 8.9473 111.33 105.12 90.00
With the nearest neighbours (Å) after each atom.
Atoms (fractional coordinates):
Ba  0.8585  0.4220  0.7169  7 As 3.44-3.57, 3 Cd 3.62-3.69
Ba  0.1415  0.5780  0.2831  7 As 3.44-3.57, 3 Cd 3.62-3.69
Ba  0.0000  0.0000  0.0000  6 As 3.32-3.38
Cd  0.3305  0.0292  0.6609  4 As 2.79-2.86
Cd  0.6695  0.9708  0.3391  4 As 2.79-2.86
As  0.4947  0.3257  0.9894  1 As 2.52
As  0.2072  0.1927  0.4144  3 Cd 2.79-2.82
As  0.5053  0.6743  0.0106  1 As 2.52
As  0.7928  0.8073  0.5856  3 Cd 2.79-2.82